# SrLaMnMoO6

An optimized crystal structure of SrLaMnMoO6 (GGA+U, the Materials Project).

As for the energy with MP2020 corrections: -169.1 eV for the cell shown. The formation energy comes out at -28.2 eV/f.u.

a = 5.6956 Å, b = 5.8380 Å, c = 9.9089 Å
α = 90.00°, β = 124.54°, γ = 90.00°
Fractional coordinates of all 20 atoms:
Sr  0.0000  0.2107  0.0000
Sr  0.0000  0.7893  0.5000
La  0.4834  0.3007  0.4983
La  0.4834  0.6993  0.9983
Mn  0.7407  0.2463  0.2487
Mn  0.7407  0.7537  0.7487
Mo  0.2411  0.2462  0.7479
Mo  0.2411  0.7538  0.2479
O  0.0079  0.4449  0.7840
O  0.0079  0.5551  0.2840
O  0.1042  0.0434  0.3007
O  0.1042  0.9566  0.8007
O  0.3977  0.4782  0.1955
O  0.3977  0.5218  0.6955
O  0.4717  0.0589  0.7014
O  0.4717  0.9411  0.2014
O  0.5593  0.2861  0.9876
O  0.5593  0.7139  0.4876
O  0.8983  0.2212  0.5062
O  0.8983  0.7788  0.0062